# 1
Entry from the Materials Project database: RbCrI3 after structural relaxation (PBE).

Cell lengths 8.085, 8.085, 7.025 Å; angles 85.40, 85.40, 60.17 degrees
Element x y z (fractional)
Rb1 0.338 0.338 0.740
Rb2 0.662 0.662 0.260
Cr1 0.000 0.000 0.000
Cr2 0.000 0.000 0.500
I1 0.834 0.834 0.809
I2 0.840 0.323 0.721
I3 0.323 0.840 0.721
I4 0.677 0.160 0.279
I5 0.160 0.677 0.279
I6 0.166 0.166 0.191

Output
Symmetry ... C2/m
Energy relative to the elements ... -0.9964 eV per atom
Total DFT energy (no corrections) ... -3.810 eV/atom
Crystal system ... monoclinic
Size of the total moment ... 4.000 μB/f.u.


# 2
Entry from the Materials Project database: Na14Ti3Zn5Si6S6O48 after structural relaxation (PBE).

Cell lengths 18.215, 9.046, 21.990 Å; angles 90.04, 90.25, 119.89 degrees
Element x y z (fractional)
Na1 0.193 0.359 0.248
Na2 0.687 0.355 0.246
Na3 0.996 0.637 0.253
Na4 0.494 0.629 0.243
Na5 0.321 0.635 0.748
Na6 0.819 0.630 0.737
Na7 0.188 0.024 0.747
Na8 0.691 0.026 0.747
Na9 0.153 0.328 0.575
Na10 0.663 0.347 0.576
Na11 0.010 0.693 0.578
Na12 0.517 0.694 0.580
Na13 0.323 0.968 0.591
Na14 0.822 0.961 0.590
Na15 0.156 0.975 0.076
Na16 0.648 0.963 0.072
Na17 0.821 0.677 0.088
Na18 0.018 0.340 0.079
Na19 0.519 0.347 0.089
Na20 0.490 0.676 0.921
Na21 0.987 0.677 0.918
Na22 0.850 0.037 0.908
Na23 0.163 0.284 0.907
Na24 0.663 0.281 0.915
Na25 0.488 0.302 0.418
Na26 0.983 0.294 0.422
Na27 0.164 0.049 0.414
Na28 0.666 0.050 0.414
Na29 0.353 0.663 0.406
Na30 0.853 0.662 0.415
Na31 0.003 0.997 0.499
Na32 0.511 0.013 0.496
Na33 0.006 0.005 0.995
Na34 0.496 0.998 0.998
Na35 0.337 0.308 0.831
Na36 0.832 0.322 0.827
Na37 0.327 0.323 0.326
Na38 0.823 0.320 0.329
Na39 0.189 0.680 0.161
Na40 0.665 0.671 0.161
Na41 0.159 0.661 0.664
Na42 0.668 0.666 0.661
Ti1 0.000 0.009 0.649
Ti2 0.506 0.022 0.654
Ti3 0.006 0.994 0.153
Ti4 0.502 0.974 0.148
Ti5 0.322 0.323 0.986
Ti6 0.178 0.675 0.309
Ti7 0.677 0.669 0.308
Ti8 0.176 0.686 0.810
Ti9 0.675 0.683 0.809
Zn1 0.010 0.008 0.345
Zn2 0.511 0.008 0.343
Zn3 0.009 0.017 0.842
Zn4 0.507 0.015 0.848
Zn5 0.323 0.301 0.686
Zn6 0.820 0.314 0.681
Zn7 0.327 0.348 0.183
Zn8 0.819 0.331 0.185
Zn9 0.810 0.293 0.984
Zn10 0.313 0.326 0.483
Zn11 0.808 0.346 0.491
Zn12 0.172 0.669 0.014
Zn13 0.654 0.658 0.018
Zn14 0.164 0.666 0.514
Zn15 0.674 0.667 0.519
Si1 0.155 0.001 0.254
Si2 0.652 0.994 0.252
Si3 0.359 0.718 0.255
Si4 0.858 0.712 0.254
Si5 0.149 0.304 0.751
Si6 0.651 0.306 0.757
Si7 0.359 0.006 0.753
Si8 0.859 0.013 0.754
Si9 0.180 0.022 0.583
Si10 0.677 0.024 0.583
Si11 0.838 0.638 0.586
Si12 0.474 0.618 0.085
Si13 0.180 0.339 0.087
Si14 0.679 0.332 0.084
Si15 0.167 0.959 0.920
Si16 0.665 0.958 0.917
Si17 0.164 0.374 0.418
Si18 0.663 0.371 0.417
S1 0.003 0.298 0.250
S2 0.502 0.297 0.252
S3 0.004 0.708 0.752
S4 0.503 0.707 0.750
S5 0.476 0.325 0.584
S6 0.979 0.329 0.583
S7 0.338 0.636 0.584
S8 0.979 0.631 0.085
S9 0.334 0.044 0.084
S10 0.841 0.046 0.084
S11 0.313 0.661 0.916
S12 0.813 0.666 0.918
S13 0.020 0.379 0.918
S14 0.516 0.372 0.917
S15 0.313 0.963 0.418
S16 0.813 0.962 0.416
S17 0.019 0.663 0.415
S18 0.519 0.660 0.419
O1 0.116 0.040 0.313
O2 0.616 0.037 0.312
O3 0.410 0.806 0.317
O4 0.912 0.804 0.314
O5 0.496 0.208 0.310
O6 0.991 0.204 0.306
O7 0.116 0.186 0.811
O8 0.613 0.185 0.815
O9 0.491 0.775 0.808
O10 0.993 0.781 0.809
O11 0.407 0.994 0.811
O12 0.906 0.012 0.816
O13 0.402 0.972 0.690
O14 0.905 0.975 0.696
O15 0.086 0.199 0.692
O16 0.585 0.199 0.696
O17 0.016 0.821 0.699
O18 0.514 0.825 0.698
O19 0.408 0.839 0.195
O20 0.907 0.834 0.192
O21 0.014 0.204 0.197
O22 0.512 0.210 0.199
O23 0.085 0.971 0.195
O24 0.585 0.961 0.193
O25 0.432 0.346 0.636
O26 0.935 0.345 0.636
O27 0.243 0.100 0.641
O28 0.737 0.099 0.642
O29 0.333 0.535 0.638
O30 0.826 0.517 0.643
O31 0.435 0.501 0.145
O32 0.937 0.530 0.139
O33 0.322 0.122 0.139
O34 0.836 0.143 0.135
O35 0.230 0.360 0.148
O36 0.742 0.381 0.141
O37 0.231 0.302 0.028
O38 0.713 0.278 0.023
O39 0.413 0.515 0.024
O40 0.931 0.551 0.028
O41 0.340 0.150 0.029
O42 0.854 0.142 0.025
O43 0.215 0.141 0.522
O44 0.711 0.143 0.523
O45 0.349 0.558 0.528
O46 0.863 0.575 0.522
O47 0.429 0.303 0.526
O48 0.934 0.310 0.526
O49 0.272 0.676 0.970
O50 0.772 0.679 0.973
O51 0.065 0.453 0.976
O52 0.562 0.444 0.975
O53 0.152 0.845 0.980
O54 0.659 0.852 0.978
O55 0.273 0.868 0.474
O56 0.774 0.870 0.472
O57 0.155 0.462 0.480
O58 0.650 0.455 0.478
O59 0.067 0.679 0.472
O60 0.567 0.674 0.474
O61 0.069 0.661 0.361
O62 0.563 0.651 0.363
O63 0.258 0.867 0.364
O64 0.757 0.864 0.362
O65 0.173 0.504 0.359
O66 0.672 0.501 0.358
O67 0.070 0.486 0.866
O68 0.566 0.484 0.865
O69 0.177 0.854 0.860
O70 0.672 0.846 0.858
O71 0.262 0.645 0.860
O72 0.761 0.652 0.862
O73 0.008 0.814 0.415
O74 0.507 0.812 0.418
O75 0.398 0.979 0.414
O76 0.898 0.976 0.412
O77 0.078 0.186 0.413
O78 0.578 0.182 0.412
O79 0.008 0.203 0.915
O80 0.506 0.199 0.913
O81 0.083 0.980 0.914
O82 0.579 0.973 0.915
O83 0.401 0.801 0.914
O84 0.899 0.818 0.915
O85 0.483 0.163 0.589
O86 0.987 0.167 0.588
O87 0.087 0.012 0.593
O88 0.581 0.012 0.594
O89 0.415 0.811 0.586
O90 0.922 0.832 0.594
O91 0.483 0.813 0.087
O92 0.984 0.806 0.087
O93 0.415 0.041 0.084
O94 0.918 0.025 0.088
O95 0.086 0.153 0.089
O96 0.583 0.160 0.095
O97 0.340 0.162 0.750
O98 0.840 0.166 0.747
O99 0.246 0.342 0.741
O100 0.745 0.336 0.747
O101 0.429 0.538 0.739
O102 0.932 0.536 0.744
O103 0.345 0.526 0.252
O104 0.847 0.523 0.248
O105 0.430 0.327 0.249
O106 0.933 0.331 0.240
O107 0.247 0.161 0.242
O108 0.745 0.155 0.242
O109 0.314 0.493 0.918
O110 0.821 0.509 0.916
O111 0.433 0.367 0.917
O112 0.936 0.370 0.917
O113 0.253 0.154 0.924
O114 0.754 0.142 0.913
O115 0.320 0.134 0.416
O116 0.821 0.133 0.414
O117 0.253 0.366 0.414
O118 0.751 0.364 0.414
O119 0.433 0.500 0.419
O120 0.937 0.502 0.413
O121 0.163 0.496 0.075
O122 0.670 0.503 0.076
O123 0.067 0.661 0.085
O124 0.571 0.657 0.081
O125 0.260 0.871 0.078
O126 0.764 0.875 0.082
O127 0.165 0.828 0.576
O128 0.661 0.830 0.576
O129 0.261 0.652 0.582
O130 0.753 0.658 0.583
O131 0.067 0.477 0.584
O132 0.563 0.472 0.584
O133 0.148 0.810 0.256
O134 0.648 0.808 0.258
O135 0.260 0.693 0.257
O136 0.760 0.687 0.255
O137 0.085 0.467 0.251
O138 0.583 0.473 0.253
O139 0.155 0.493 0.759
O140 0.655 0.493 0.759
O141 0.086 0.704 0.754
O142 0.584 0.700 0.751
O143 0.260 0.827 0.756
O144 0.761 0.828 0.757

Output
Symmetry ... P1
Energy relative to the elements ... -2.4142 eV per atom
Total DFT energy (no corrections) ... -6.200 eV/atom
Crystal system ... triclinic
Size of the total moment ... 0.000 μB/f.u.


# 3
Entry from the Materials Project database: InI2 after structural relaxation (PBE).

Cell lengths 8.547, 11.319, 11.605 Å; angles 90.00, 90.00, 90.00 degrees
Element x y z (fractional)
In1 0.250 0.000 0.676
In2 0.250 0.500 0.824
In3 0.750 0.000 0.324
In4 0.750 0.500 0.176
In5 0.658 0.250 0.750
In6 0.842 0.750 0.750
In7 0.342 0.750 0.250
In8 0.158 0.250 0.250
I1 0.508 0.956 0.815
I2 0.508 0.544 0.685
I3 0.992 0.456 0.685
I4 0.992 0.044 0.815
I5 0.492 0.044 0.185
I6 0.492 0.456 0.315
I7 0.008 0.544 0.315
I8 0.008 0.956 0.185
I9 0.345 0.192 0.547
I10 0.345 0.308 0.953
I11 0.155 0.692 0.953
I12 0.155 0.808 0.547
I13 0.655 0.808 0.453
I14 0.655 0.692 0.047
I15 0.845 0.308 0.047
I16 0.845 0.192 0.453

Output
Symmetry ... Pnna
Energy relative to the elements ... -0.7662 eV per atom
Total DFT energy (no corrections) ... -2.447 eV/atom
Crystal system ... orthorhombic


# 4
Entry from the Materials Project database: LiPt3 after structural relaxation (PBE).

Cell lengths 3.891, 3.891, 3.891 Å; angles 90.00, 90.00, 90.00 degrees
Element x y z (fractional)
Li1 0.000 0.000 0.000
Pt1 0.000 0.500 0.500
Pt2 0.500 0.500 0.000
Pt3 0.500 0.000 0.500

Output
Symmetry ... Pm-3m
Energy relative to the elements ... -0.4159 eV per atom
Total DFT energy (no corrections) ... -5.447 eV/atom
Crystal system ... cubic


# 5
Entry from the Materials Project database: Mg3Si4Sn2O14 after structural relaxation (PBE).

Cell lengths 9.487, 9.487, 10.278 Å; angles 59.77, 59.77, 48.66 degrees
Element x y z (fractional)
Mg1 0.060 0.285 0.105
Mg2 0.715 0.940 0.395
Mg3 0.285 0.060 0.605
Mg4 0.379 0.621 0.750
Mg5 0.940 0.715 0.895
Mg6 0.621 0.379 0.250
Si1 0.546 0.065 0.719
Si2 0.065 0.546 0.219
Si3 0.482 0.276 0.111
Si4 0.276 0.482 0.611
Si5 0.935 0.454 0.781
Si6 0.518 0.724 0.889
Si7 0.724 0.518 0.389
Si8 0.454 0.935 0.281
Sn1 0.772 0.228 0.750
Sn2 0.228 0.772 0.250
Sn3 0.000 0.000 0.000
Sn4 0.000 0.000 0.500
O1 0.825 0.326 0.328
O2 0.934 0.916 0.412
O3 0.530 0.581 0.062
O4 0.916 0.934 0.912
O5 0.235 0.999 0.299
O6 0.092 0.489 0.619
O7 0.581 0.530 0.562
O8 0.001 0.765 0.201
O9 0.908 0.511 0.381
O10 0.615 0.714 0.252
O11 0.066 0.084 0.588
O12 0.765 0.001 0.701
O13 0.511 0.908 0.881
O14 0.326 0.825 0.828
O15 0.714 0.615 0.752
O16 0.999 0.235 0.799
O17 0.939 0.485 0.921
O18 0.385 0.286 0.748
O19 0.515 0.061 0.579
O20 0.286 0.385 0.248
O21 0.489 0.092 0.119
O22 0.084 0.066 0.088
O23 0.485 0.939 0.421
O24 0.470 0.419 0.938
O25 0.061 0.515 0.079
O26 0.419 0.470 0.438
O27 0.674 0.175 0.172
O28 0.175 0.674 0.672

Output
Symmetry ... C2/c
Energy relative to the elements ... -2.7786 eV per atom
Total DFT energy (no corrections) ... -6.873 eV/atom
Crystal system ... monoclinic
Size of the total moment ... 0.000 μB/f.u.


# 6
Entry from the Materials Project database: SrCdBi2 after structural relaxation (PBE).

Cell lengths 12.139, 12.139, 12.139 Å; angles 157.69, 157.69, 31.76 degrees
Element x y z (fractional)
Sr1 0.115 0.115 0.000
Sr2 0.885 0.885 0.000
Cd1 0.750 0.250 0.500
Cd2 0.250 0.750 0.500
Bi1 0.663 0.663 0.000
Bi2 0.000 0.500 0.500
Bi3 0.337 0.337 0.000
Bi4 0.500 0.000 0.500

Output
Symmetry ... I4/mmm
Energy relative to the elements ... -0.4557 eV per atom
Total DFT energy (no corrections) ... -3.054 eV/atom
Crystal system ... tetragonal


# 7
Entry from the Materials Project database: Cu4WS4Cl4 after structural relaxation (PBE).

Cell lengths 10.080, 10.080, 6.126 Å; angles 74.06, 74.06, 86.68 degrees
Element x y z (fractional)
Cu1 0.003 0.266 0.878
Cu2 0.734 0.997 0.122
Cu3 0.375 0.625 0.500
Cu4 0.997 0.734 0.122
Cu5 0.266 0.003 0.878
Cu6 0.625 0.375 0.500
Cu7 0.629 0.629 0.878
Cu8 0.371 0.371 0.122
W1 0.000 0.000 0.000
W2 0.000 0.000 0.500
S1 0.850 0.850 0.886
S2 0.150 0.150 0.613
S3 0.850 0.850 0.387
S4 0.148 0.851 0.750
S5 0.150 0.150 0.114
S6 0.852 0.149 0.250
S7 0.851 0.148 0.750
S8 0.149 0.852 0.250
Cl1 0.501 0.750 0.131
Cl2 0.502 0.750 0.631
Cl3 0.250 0.498 0.369
Cl4 0.250 0.499 0.869
Cl5 0.750 0.501 0.131
Cl6 0.498 0.250 0.369
Cl7 0.499 0.250 0.869
Cl8 0.750 0.502 0.631

Output
Symmetry ... C2/m
Energy relative to the elements ... -0.4853 eV per atom
Total DFT energy (no corrections) ... -4.241 eV/atom
Crystal system ... monoclinic
Size of the total moment ... 0.555 μB/f.u.


# 8
Entry from the Materials Project database: Rb2MgFe2S4 after structural relaxation (PBE).

Cell lengths 5.063, 7.154, 6.917 Å; angles 111.92, 111.59, 91.29 degrees
Element x y z (fractional)
Rb1 0.679 0.583 0.376
Rb2 0.342 0.419 0.749
Mg1 0.175 0.950 0.335
Fe1 0.233 0.012 0.989
Fe2 0.739 0.011 0.995
S1 0.332 0.893 0.684
S2 0.008 0.263 0.025
S3 0.950 0.738 0.938
S4 0.641 0.077 0.298

Output
Symmetry ... P1
Energy relative to the elements ... -0.8946 eV per atom
Total DFT energy (no corrections) ... -4.787 eV/atom
Crystal system ... triclinic
Size of the total moment ... 0.000 μB/f.u.